Compound: VPPbO6
Source: the Materials Project
Functional: PBE+U
Structure: optimized geometry

Unit cell a=9.981 b=13.960 c=11.157 alpha=90.00 beta=90.00 gamma=90.00
Space group Pnma (No. 62)
Symmetry-distinct sites (fractional):
V 0.124 0.250 0.184 x4
V 0.212 0.021 0.595 x8
P 0.105 0.049 0.326 x8
P 0.221 0.750 0.211 x4
Pb 0.065 0.750 0.506 x4
Pb 0.082 0.110 0.881 x8
O 0.007 0.026 0.683 x8
O 0.056 0.142 0.258 x8
O 0.072 0.250 0.042 x4
O 0.073 0.750 0.171 x4
O 0.128 0.533 0.050 x8
O 0.129 0.084 0.456 x8
O 0.179 0.590 0.544 x8
O 0.200 0.160 0.669 x8
O 0.210 0.750 0.688 x4
O 0.230 0.750 0.352 x4
O 0.237 0.014 0.268 x8

- E (MP2020) (eV/f.u.) = -69.28

***

Compound: Li6Mn3VP6O24
Source: the Materials Project
Functional: PBE+U
Structure: optimized geometry

Unit cell a=8.481 b=8.539 c=8.744 alpha=61.30 beta=62.29 gamma=61.85
Space group P1 (No. 1)
Symmetry-distinct sites (fractional):
Li 0.000 0.000 0.000 x1
Li 0.083 0.504 0.890 x1
Li 0.363 0.145 0.724 x1
Li 0.501 0.883 0.104 x1
Li 0.689 0.327 0.486 x1
Li 0.851 0.655 0.270 x1
Mn 0.200 0.021 0.607 x1
Mn 0.701 0.510 0.100 x1
Mn 0.985 0.806 0.392 x1
V 0.489 0.308 0.893 x1
P 0.090 0.201 0.202 x1
P 0.301 0.707 0.000 x1
P 0.382 0.629 0.501 x1
P 0.592 0.112 0.300 x1
P 0.804 0.914 0.799 x1
P 0.903 0.412 0.693 x1
O 0.046 0.040 0.209 x1
O 0.091 0.243 0.680 x1
O 0.107 0.719 0.147 x1
O 0.128 0.157 0.372 x1
O 0.224 0.664 0.437 x1
O 0.247 0.239 0.015 x1
O 0.283 0.905 0.851 x1
O 0.335 0.783 0.572 x1
O 0.350 0.551 0.929 x1
O 0.408 0.429 0.654 x1
O 0.439 0.089 0.487 x1
O 0.459 0.670 0.069 x1
O 0.534 0.149 0.141 x1
O 0.574 0.618 0.345 x1
O 0.604 0.067 0.831 x1
O 0.648 0.276 0.273 x1
O 0.737 0.355 0.731 x1
O 0.766 0.927 0.301 x1
O 0.785 0.739 0.980 x1
O 0.848 0.883 0.625 x1
O 0.884 0.463 0.849 x1
O 0.912 0.577 0.508 x1
O 0.923 0.394 0.184 x1
O 0.958 0.966 0.794 x1

- E (MP2020) (eV/f.u.) = -301.52

***

Compound: BaMnO3
Source: the Materials Project
Functional: PBE+U
Structure: optimized geometry

Unit cell a=5.7331 b=5.7331 c=9.3984 alpha=90.00 beta=90.00 gamma=120.00
Space group P6_3/mmc (No. 194)
Symmetry-distinct sites (fractional):
Ba 0.0000 0.0000 0.0000 x2
Ba 0.3333 0.6667 0.2500 x2
Mn 0.3333 0.6667 0.6124 x4
O 0.0000 0.5000 0.0000 x6
O 0.1879 0.3757 0.7500 x6

- E (MP2020) (eV/f.u.) = -38.24

***

Compound: Ca8Mn7CrO23
Source: the Materials Project
Functional: PBE+U
Structure: optimized geometry

Unit cell a=7.599 b=7.599 c=7.707 alpha=90.00 beta=90.00 gamma=90.00
Space group P4mm (No. 99)
Symmetry-distinct sites (fractional):
Ca 0.235 0.235 0.000 x4
Ca 0.240 0.240 0.511 x4
Mn 0.000 0.000 0.259 x1
Mn 0.000 0.000 0.756 x1
Mn 0.000 0.500 0.262 x2
Mn 0.000 0.500 0.754 x2
Mn 0.500 0.500 0.761 x1
Cr 0.500 0.500 0.248 x1
O 0.000 0.000 0.007 x1
O 0.000 0.000 0.509 x1
O 0.000 0.249 0.253 x4
O 0.000 0.249 0.765 x4
O 0.000 0.500 0.009 x2
O 0.000 0.500 0.508 x2
O 0.252 0.500 0.733 x4
O 0.259 0.500 0.292 x4
O 0.500 0.500 0.017 x1

- E (MP2020) (eV/f.u.) = -299.62

***

What did the third record say?
Compound: BaMnO3
Source: the Materials Project
Functional: PBE+U
Structure: optimized geometry

Unit cell a=5.7331 b=5.7331 c=9.3984 alpha=90.00 beta=90.00 gamma=120.00
Space group P6_3/mmc (No. 194)
Symmetry-distinct sites (fractional):
Ba 0.0000 0.0000 0.0000 x2
Ba 0.3333 0.6667 0.2500 x2
Mn 0.3333 0.6667 0.6124 x4
O 0.0000 0.5000 0.0000 x6
O 0.1879 0.3757 0.7500 x6

- E (MP2020) (eV/f.u.) = -38.24